[1]
HoTiO3, optimized geometry, DFT PBE; calculated volume = 11.6 Å³/atom; electronic total energy = -8.691 eV/atom; SG = Pnma, No. 62
1.0
5.6925 0.0000 0.0000
0.0000 7.6745 0.0000
0.0000 0.0000 5.3281
Ho Ti O
4 4 12
Direct
0.0719 0.2500 0.0192
0.4281 0.7500 0.5192
0.5719 0.2500 0.4808
0.9281 0.7500 0.9808
0.0000 0.0000 0.5000
0.0000 0.5000 0.5000
0.5000 0.0000 0.0000
0.5000 0.5000 0.0000
0.0463 0.7500 0.3787
0.1953 0.5594 0.8132
0.1953 0.9406 0.8132
0.3047 0.0594 0.3132
0.3047 0.4406 0.3132
0.4537 0.2500 0.8787
0.5463 0.7500 0.1213
0.6953 0.5594 0.6868
0.6953 0.9406 0.6868
0.8047 0.0594 0.1868
0.8047 0.4406 0.1868
0.9537 0.2500 0.6213



[2]
HoTi2ZnO6, optimized geometry, DFT PBE; calculated volume = 11.1 Å³/atom; electronic total energy = -7.917 eV/atom; SG = Pmn2_1, No. 31
1.0
7.6385 0.0000 0.0000
0.0000 5.4953 0.0000
0.0000 0.0000 5.2731
Ho Ti Zn O
2 4 2 12
Direct
0.0000 0.1769 0.0000
0.5000 0.8231 0.5000
0.2479 0.2683 0.4860
0.2521 0.7317 0.9860
0.7479 0.7317 0.9860
0.7521 0.2683 0.4860
0.0000 0.7333 0.4789
0.5000 0.2667 0.9789
0.0000 0.2990 0.5906
0.0000 0.7845 0.8552
0.1893 0.9418 0.2948
0.1897 0.4433 0.1715
0.3103 0.5567 0.6715
0.3107 0.0582 0.7948
0.5000 0.2155 0.3552
0.5000 0.7010 0.0906
0.6893 0.0582 0.7948
0.6897 0.5567 0.6715
0.8103 0.4433 0.1715
0.8107 0.9418 0.2948



What did the second record say?
HoTi2ZnO6, optimized geometry, DFT PBE; calculated volume = 11.1 Å³/atom; electronic total energy = -7.917 eV/atom; SG = Pmn2_1, No. 31
1.0
7.6385 0.0000 0.0000
0.0000 5.4953 0.0000
0.0000 0.0000 5.2731
Ho Ti Zn O
2 4 2 12
Direct
0.0000 0.1769 0.0000
0.5000 0.8231 0.5000
0.2479 0.2683 0.4860
0.2521 0.7317 0.9860
0.7479 0.7317 0.9860
0.7521 0.2683 0.4860
0.0000 0.7333 0.4789
0.5000 0.2667 0.9789
0.0000 0.2990 0.5906
0.0000 0.7845 0.8552
0.1893 0.9418 0.2948
0.1897 0.4433 0.1715
0.3103 0.5567 0.6715
0.3107 0.0582 0.7948
0.5000 0.2155 0.3552
0.5000 0.7010 0.0906
0.6893 0.0582 0.7948
0.6897 0.5567 0.6715
0.8103 0.4433 0.1715
0.8107 0.9418 0.2948



> Which value of calculated volume does entry 2 give?

11.1 Å³/atom



> electronic total energy of number 1 (HoTiO3)?

-8.691 eV/atom



> Number 2 is which compound?

HoTi2ZnO6